# 1
# Na3AlGaP3O12

An optimized crystal structure of Na3AlGaP3O12 (PBE, the Materials Project database).

Results
ρ	3.206	Mg/m³
DFT total energy	-6.623	eV/atom
energy of formation from the pure elements	-54.36	eV per formula unit

Cell lengths 8.659, 8.698, 12.396 Å; angles 90.56, 90.02, 90.04 degrees
Space group P1 (No. 1)
One atom of each set of equivalent atoms:
Na (0.000, 0.000, 0.000) x1
Na (0.019, 0.353, 0.316) x1
Na (0.162, 0.356, 0.571) x1
Na (0.190, 0.357, 0.069) x1
Na (0.331, 0.353, 0.816) x1
Na (0.354, 0.999, 0.502) x1
Na (0.499, 0.498, 0.502) x1
Na (0.522, 0.853, 0.817) x1
Na (0.661, 0.857, 0.069) x1
Na (0.690, 0.856, 0.570) x1
Na (0.833, 0.853, 0.317) x1
Na (0.853, 0.498, 0.001) x1
Al (0.169, 0.062, 0.714) x1
Al (0.670, 0.561, 0.213) x1
Al (0.676, 0.148, 0.920) x1
Al (0.683, 0.562, 0.714) x1
Ga (0.175, 0.648, 0.919) x1
Ga (0.176, 0.648, 0.420) x1
Ga (0.184, 0.061, 0.214) x1
Ga (0.676, 0.148, 0.420) x1
P (0.030, 0.005, 0.466) x1
P (0.031, 0.702, 0.169) x1
P (0.320, 0.705, 0.670) x1
P (0.324, 0.005, 0.961) x1
P (0.385, 0.353, 0.314) x1
P (0.471, 0.849, 0.314) x1
P (0.533, 0.206, 0.672) x1
P (0.533, 0.501, 0.963) x1
P (0.816, 0.206, 0.168) x1
P (0.821, 0.505, 0.464) x1
P (0.883, 0.853, 0.814) x1
P (0.964, 0.349, 0.813) x1
O (0.057, 0.879, 0.168) x1
O (0.065, 0.832, 0.462) x1
O (0.070, 0.439, 0.895) x1
O (0.073, 0.259, 0.737) x1
O (0.094, 0.629, 0.272) x1
O (0.097, 0.085, 0.364) x1
O (0.098, 0.615, 0.071) x1
O (0.108, 0.084, 0.564) x1
O (0.245, 0.089, 0.057) x1
O (0.254, 0.617, 0.572) x1
O (0.255, 0.076, 0.857) x1
O (0.257, 0.628, 0.773) x1
O (0.277, 0.268, 0.234) x1
O (0.280, 0.442, 0.396) x1
O (0.288, 0.881, 0.671) x1
O (0.292, 0.831, 0.962) x1
O (0.353, 0.189, 0.667) x1
O (0.354, 0.513, 0.967) x1
O (0.371, 0.957, 0.247) x1
O (0.373, 0.747, 0.389) x1
O (0.478, 0.245, 0.389) x1
O (0.492, 0.460, 0.251) x1
O (0.500, 0.689, 0.666) x1
O (0.502, 0.023, 0.964) x1
O (0.564, 0.382, 0.671) x1
O (0.572, 0.329, 0.959) x1
O (0.576, 0.939, 0.396) x1
O (0.579, 0.759, 0.237) x1
O (0.596, 0.135, 0.777) x1
O (0.598, 0.578, 0.859) x1
O (0.599, 0.117, 0.574) x1
O (0.608, 0.583, 0.061) x1
O (0.743, 0.585, 0.562) x1
O (0.750, 0.122, 0.067) x1
O (0.755, 0.578, 0.360) x1
O (0.757, 0.126, 0.270) x1
O (0.776, 0.761, 0.737) x1
O (0.777, 0.948, 0.893) x1
O (0.784, 0.381, 0.172) x1
O (0.787, 0.330, 0.462) x1
O (0.851, 0.685, 0.165) x1
O (0.853, 0.017, 0.469) x1
O (0.862, 0.458, 0.748) x1
O (0.865, 0.245, 0.886) x1
O (0.977, 0.749, 0.892) x1
O (0.991, 0.956, 0.749) x1
O (0.997, 0.194, 0.162) x1
O (0.999, 0.517, 0.468) x1


# 2
# Na3AlGaP3O12

An optimized crystal structure of Na3AlGaP3O12 (PBE, the Materials Project database).

Results
ρ	3.202	Mg/m³
DFT total energy	-6.627	eV/atom
energy of formation from the pure elements	-54.42	eV per formula unit

Cell lengths 8.651, 8.652, 21.625 Å; angles 90.01, 90.02, 119.98 degrees
Space group P1 (No. 1)
One atom of each set of equivalent atoms:
Na (0.000, 0.000, 0.000) x1
Na (0.000, 0.000, 0.500) x1
Na (0.030, 0.332, 0.417) x1
Na (0.034, 0.697, 0.917) x1
Na (0.302, 0.334, 0.916) x1
Na (0.322, 0.676, 0.334) x1
Na (0.335, 0.302, 0.583) x1
Na (0.354, 0.676, 0.833) x1
Na (0.366, 0.365, 0.250) x1
Na (0.366, 0.999, 0.750) x1
Na (0.634, 0.998, 0.250) x1
Na (0.664, 0.698, 0.417) x1
Na (0.666, 0.333, 0.167) x1
Na (0.667, 0.333, 0.667) x1
Na (0.698, 0.670, 0.084) x1
Na (0.969, 0.303, 0.083) x1
Na (0.970, 0.670, 0.584) x1
Na (0.997, 0.365, 0.750) x1
Al (0.006, 0.998, 0.353) x1
Al (0.334, 0.674, 0.481) x1
Al (0.662, 0.328, 0.018) x1
Al (0.666, 0.328, 0.518) x1
Al (0.672, 0.337, 0.316) x1
Al (0.992, 0.998, 0.853) x1
Ga (0.007, 0.999, 0.150) x1
Ga (0.327, 0.669, 0.185) x1
Ga (0.339, 0.674, 0.982) x1
Ga (0.342, 0.669, 0.684) x1
Ga (0.665, 0.337, 0.816) x1
Ga (0.992, 0.999, 0.648) x1
P (0.040, 0.377, 0.582) x1
P (0.040, 0.667, 0.082) x1
P (0.290, 0.000, 0.252) x1
P (0.290, 0.291, 0.751) x1
P (0.336, 0.372, 0.083) x1
P (0.340, 0.960, 0.582) x1
P (0.377, 0.329, 0.417) x1
P (0.378, 0.043, 0.916) x1
P (0.623, 0.667, 0.580) x1
P (0.624, 0.963, 0.084) x1
P (0.663, 0.044, 0.416) x1
P (0.668, 0.627, 0.918) x1
P (0.711, 0.997, 0.751) x1
P (0.714, 0.707, 0.252) x1
P (0.954, 0.328, 0.917) x1
P (0.957, 0.624, 0.417) x1
P (0.996, 0.710, 0.751) x1
P (0.997, 0.291, 0.252) x1
O (0.015, 0.831, 0.088) x1
O (0.029, 0.193, 0.587) x1
O (0.029, 0.831, 0.808) x1
O (0.032, 0.202, 0.308) x1
O (0.115, 0.492, 0.641) x1
O (0.120, 0.622, 0.138) x1
O (0.143, 0.639, 0.425) x1
O (0.144, 0.496, 0.922) x1
O (0.151, 0.699, 0.023) x1
O (0.164, 0.189, 0.089) x1
O (0.164, 0.466, 0.525) x1
O (0.167, 0.693, 0.747) x1
O (0.170, 0.202, 0.808) x1
O (0.170, 0.475, 0.246) x1
O (0.170, 0.971, 0.308) x1
O (0.170, 0.979, 0.586) x1
O (0.186, 0.166, 0.410) x1
O (0.188, 0.025, 0.910) x1
O (0.213, 0.176, 0.691) x1
O (0.217, 0.046, 0.194) x1
O (0.295, 0.453, 0.025) x1
O (0.301, 0.474, 0.746) x1
O (0.302, 0.831, 0.528) x1
O (0.314, 0.835, 0.246) x1
O (0.350, 0.854, 0.922) x1
O (0.355, 0.499, 0.423) x1
O (0.371, 0.886, 0.644) x1
O (0.377, 0.492, 0.141) x1
O (0.463, 0.303, 0.475) x1
O (0.467, 0.170, 0.971) x1
O (0.475, 0.306, 0.756) x1
O (0.480, 0.169, 0.259) x1
O (0.485, 0.119, 0.856) x1
O (0.497, 0.367, 0.359) x1
O (0.499, 0.642, 0.924) x1
O (0.499, 0.854, 0.424) x1
O (0.503, 0.149, 0.574) x1
O (0.503, 0.622, 0.638) x1
O (0.506, 0.360, 0.074) x1
O (0.515, 0.886, 0.144) x1
O (0.522, 0.832, 0.746) x1
O (0.525, 0.689, 0.247) x1
O (0.535, 0.694, 0.523) x1
O (0.543, 0.837, 0.029) x1
O (0.625, 0.504, 0.861) x1
O (0.635, 0.127, 0.357) x1
O (0.644, 0.498, 0.574) x1
O (0.647, 0.151, 0.075) x1
O (0.687, 0.518, 0.259) x1
O (0.689, 0.166, 0.756) x1
O (0.703, 0.169, 0.471) x1
O (0.704, 0.543, 0.976) x1
O (0.801, 0.831, 0.308) x1
O (0.801, 0.971, 0.808) x1
O (0.812, 0.832, 0.586) x1
O (0.814, 0.984, 0.089) x1
O (0.820, 0.784, 0.191) x1
O (0.828, 0.041, 0.693) x1
O (0.828, 0.308, 0.259) x1
O (0.833, 0.023, 0.410) x1
O (0.833, 0.520, 0.756) x1
O (0.838, 0.543, 0.475) x1
O (0.840, 0.303, 0.975) x1
O (0.840, 0.810, 0.910) x1
O (0.851, 0.497, 0.075) x1
O (0.855, 0.361, 0.573) x1
O (0.870, 0.499, 0.362) x1
O (0.878, 0.370, 0.859) x1
O (0.958, 0.176, 0.192) x1
O (0.968, 0.789, 0.690) x1
O (0.971, 0.809, 0.409) x1
O (0.978, 0.163, 0.911) x1


# 3
# Na4AlGaSiP2O12

An optimized crystal structure of Na4AlGaSiP2O12 (PBE, the Materials Project database).

Results
ρ	3.244	Mg/m³
DFT total energy	-6.510	eV/atom
energy of formation from the pure elements	-57.25	eV per formula unit

Cell lengths 8.814, 8.819, 21.465 Å; angles 90.04, 90.02, 119.95 degrees
Space group P1 (No. 1)
One atom of each set of equivalent atoms:
Na (0.000, 0.000, 0.000) x1
Na (0.001, 0.257, 0.501) x1
Na (0.034, 0.324, 0.840) x1
Na (0.036, 0.964, 0.339) x1
Na (0.295, 0.590, 0.336) x1
Na (0.296, 0.960, 0.836) x1
Na (0.328, 0.291, 0.919) x1
Na (0.329, 0.291, 0.419) x1
Na (0.336, 0.659, 0.668) x1
Na (0.337, 0.932, 0.167) x1
Na (0.360, 0.993, 0.501) x1
Na (0.363, 0.622, 0.001) x1
Na (0.633, 0.259, 0.006) x1
Na (0.636, 0.628, 0.506) x1
Na (0.669, 0.955, 0.586) x1
Na (0.669, 0.967, 0.085) x1
Na (0.671, 0.597, 0.833) x1
Na (0.672, 0.330, 0.332) x1
Na (0.697, 0.657, 0.171) x1
Na (0.699, 0.296, 0.671) x1
Na (0.960, 0.920, 0.670) x1
Na (0.961, 0.293, 0.169) x1
Na (0.996, 0.621, 0.253) x1
Na (0.997, 0.629, 0.753) x1
Al (0.002, 0.628, 0.900) x1
Al (0.333, 0.291, 0.772) x1
Al (0.670, 0.953, 0.735) x1
Al (0.677, 0.964, 0.438) x1
Al (0.678, 0.968, 0.937) x1
Al (0.993, 0.619, 0.104) x1
Ga (0.001, 0.629, 0.402) x1
Ga (0.330, 0.293, 0.067) x1
Ga (0.331, 0.292, 0.570) x1
Ga (0.332, 0.295, 0.270) x1
Ga (0.671, 0.973, 0.235) x1
Ga (0.991, 0.628, 0.604) x1
Si (0.620, 0.583, 0.671) x1
Si (0.625, 0.297, 0.168) x1
Si (0.960, 0.960, 0.836) x1
Si (0.961, 0.255, 0.336) x1
Si (0.998, 0.337, 0.001) x1
Si (0.998, 0.921, 0.502) x1
P (0.041, 0.292, 0.671) x1
P (0.041, 0.997, 0.168) x1
P (0.287, 0.910, 0.001) x1
P (0.293, 0.630, 0.502) x1
P (0.332, 0.588, 0.168) x1
P (0.338, 0.004, 0.671) x1
P (0.379, 0.959, 0.337) x1
P (0.381, 0.675, 0.837) x1
P (0.666, 0.246, 0.836) x1
P (0.666, 0.674, 0.336) x1
P (0.707, 0.331, 0.502) x1
P (0.715, 0.630, 0.001) x1
O (0.026, 0.815, 0.160) x1
O (0.028, 0.461, 0.666) x1
O (0.034, 0.462, 0.941) x1
O (0.042, 0.838, 0.442) x1
O (0.113, 0.251, 0.611) x1
O (0.118, 0.116, 0.111) x1
O (0.155, 0.075, 0.227) x1
O (0.156, 0.272, 0.331) x1
O (0.157, 0.136, 0.829) x1
O (0.160, 0.321, 0.728) x1
O (0.170, 0.613, 0.162) x1
O (0.171, 0.825, 0.944) x1
O (0.174, 0.117, 0.508) x1
O (0.174, 0.315, 0.006) x1
O (0.175, 0.818, 0.667) x1
O (0.177, 0.593, 0.445) x1
O (0.194, 0.653, 0.841) x1
O (0.194, 0.797, 0.340) x1
O (0.201, 0.798, 0.060) x1
O (0.211, 0.662, 0.561) x1
O (0.291, 0.471, 0.227) x1
O (0.304, 0.092, 0.727) x1
O (0.308, 0.096, 0.004) x1
O (0.315, 0.467, 0.506) x1
O (0.361, 0.489, 0.831) x1
O (0.365, 0.127, 0.334) x1
O (0.367, 0.507, 0.110) x1
O (0.372, 0.114, 0.611) x1
O (0.456, 0.925, 0.277) x1
O (0.464, 0.791, 0.778) x1
O (0.471, 0.928, 0.996) x1
O (0.476, 0.797, 0.496) x1
O (0.496, 0.982, 0.394) x1
O (0.497, 0.762, 0.894) x1
O (0.498, 0.256, 0.107) x1
O (0.499, 0.770, 0.175) x1
O (0.501, 0.268, 0.831) x1
O (0.501, 0.490, 0.334) x1
O (0.501, 0.502, 0.608) x1
O (0.505, 0.987, 0.679) x1
O (0.524, 0.314, 0.508) x1
O (0.526, 0.456, 0.730) x1
O (0.531, 0.464, 0.005) x1
O (0.540, 0.336, 0.230) x1
O (0.632, 0.129, 0.894) x1
O (0.638, 0.762, 0.394) x1
O (0.641, 0.780, 0.676) x1
O (0.644, 0.120, 0.172) x1
O (0.682, 0.144, 0.495) x1
O (0.690, 0.793, 0.996) x1
O (0.695, 0.159, 0.778) x1
O (0.695, 0.784, 0.277) x1
O (0.789, 0.449, 0.444) x1
O (0.802, 0.601, 0.944) x1
O (0.816, 0.600, 0.668) x1
O (0.820, 0.142, 0.996) x1
O (0.820, 0.473, 0.163) x1
O (0.821, 0.938, 0.497) x1
O (0.825, 0.407, 0.560) x1
O (0.829, 0.663, 0.060) x1
O (0.831, 0.431, 0.841) x1
O (0.831, 0.655, 0.340) x1
O (0.835, 0.921, 0.775) x1
O (0.843, 0.179, 0.273) x1
O (0.853, 0.970, 0.174) x1
O (0.854, 0.131, 0.678) x1
O (0.870, 0.129, 0.396) x1
O (0.874, 0.000, 0.896) x1
O (0.957, 0.798, 0.564) x1
O (0.965, 0.426, 0.063) x1
O (0.982, 0.451, 0.342) x1
O (0.982, 0.785, 0.843) x1


# 4
# NaAl12GaS4O66

An optimized crystal structure of NaAl12GaS4O66 (PBE, the Materials Project database).

Results
ρ	2.786	Mg/m³
DFT total energy	-5.374	eV/atom
energy of formation from the pure elements	-58.97	eV per formula unit

Cell lengths 15.626, 15.626, 15.626 Å; angles 90.00, 90.00, 90.00 degrees
Space group F-43m (No. 216)
One atom of each set of equivalent atoms:
Na (0.000, 0.000, 0.000) x4
Al (0.066, 0.066, 0.298) x48
Ga (0.000, 0.000, 0.500) x4
S (0.137, 0.137, 0.863) x16
O (0.023, 0.250, 0.250) x24
O (0.044, 0.154, 0.846) x48
O (0.050, 0.050, 0.182) x48
O (0.057, 0.057, 0.688) x48
O (0.074, 0.196, 0.304) x48
O (0.082, 0.082, 0.418) x16
O (0.089, 0.089, 0.589) x16
O (0.190, 0.190, 0.810) x16